(1)
The following is a PBE+U calculation of BaSr2Mn2Si4O14 after structural relaxation, from Materials Project.

The structure in CIF format:
```
data_BaSr2Mn2Si4O14
_space_group_name_H-M_alt 'P 1'
_space_group_IT_number 1
_space_group_name_Hall 'P 1'
_cell_length_a 8.3995
_cell_length_b 8.3995
_cell_length_c 5.2361
_cell_angle_alpha 87.16
_cell_angle_beta 87.16
_cell_angle_gamma 55.91
loop_
_atom_site_label
_atom_site_type_symbol
_atom_site_fract_x
_atom_site_fract_y
_atom_site_fract_z
O1 O 0.4160 0.4578 0.2204
O2 O 0.1860 0.9349 0.8084
O3 O 0.0651 0.8140 0.1916
O4 O 0.5889 0.8662 0.6700
O5 O 0.0146 0.1788 0.3646
O6 O 0.4405 0.2340 0.6219
O7 O 0.1888 0.6134 0.6679
O8 O 0.1338 0.4111 0.3300
O9 O 0.7660 0.5595 0.3781
O10 O 0.8212 0.9854 0.6354
O11 O 0.6242 0.0073 0.2089
O12 O 0.3866 0.8112 0.3321
O13 O 0.5422 0.5840 0.7796
O14 O 0.9927 0.3758 0.7911
Si1 Si 0.9773 0.3711 0.4869
Si2 Si 0.2949 0.4427 0.4609
Si3 Si 0.6289 0.0227 0.5131
Si4 Si 0.5573 0.7051 0.5391
Mn1 Mn 0.1096 0.8904 0.5000
Mn2 Mn 0.3039 0.6961 0.0000
Sr1 Sr 0.3014 0.1062 0.0189
Sr2 Sr 0.8938 0.6986 0.9811
Ba1 Ba 0.7755 0.2245 0.0000
```

Results
E_form = -71.4 eV per formula unit
raw total energy = -173.019 eV per formula unit

---

(2)
The following is a PBE+U calculation of Na2Cr2O7 after structural relaxation, from Materials Project.

The structure in CIF format:
```
data_Na2Cr2O7
_space_group_name_H-M_alt 'P 1'
_space_group_IT_number 1
_space_group_name_Hall 'P 1'
_cell_length_a 7.7721
_cell_length_b 9.4920
_cell_length_c 10.1502
_cell_angle_alpha 75.74
_cell_angle_beta 70.07
_cell_angle_gamma 70.36
loop_
_atom_site_label
_atom_site_type_symbol
_atom_site_fract_x
_atom_site_fract_y
_atom_site_fract_z
O1 O 0.4563 0.2301 0.6209
O2 O 0.2841 0.9161 0.6092
O3 O 0.8904 0.6839 0.4463
O4 O 0.9164 0.8765 0.8451
O5 O 0.1976 0.4178 0.1632
O6 O 0.1096 0.3161 0.5537
O7 O 0.3351 0.0744 0.3475
O8 O 0.7548 0.3100 0.8511
O9 O 0.4092 0.3974 0.3600
O10 O 0.5908 0.6026 0.6400
O11 O 0.1499 0.8622 0.4239
O12 O 0.7159 0.0839 0.3908
O13 O 0.7126 0.4077 0.0875
O14 O 0.2452 0.6900 0.1489
O15 O 0.0799 0.3242 0.9007
O16 O 0.7711 0.9862 0.0923
O17 O 0.2289 0.0138 0.9077
O18 O 0.5437 0.7699 0.3791
O19 O 0.0836 0.1235 0.1549
O20 O 0.9201 0.6758 0.0993
O21 O 0.5887 0.8252 0.0264
O22 O 0.2428 0.5250 0.5978
O23 O 0.2874 0.5923 0.9125
O24 O 0.7572 0.4750 0.4022
O25 O 0.4113 0.1748 0.9736
O26 O 0.8501 0.1378 0.5761
O27 O 0.6649 0.9256 0.6525
O28 O 0.8024 0.5822 0.8368
Na1 Na 0.0261 0.2638 0.3520
Na2 Na 0.9739 0.7362 0.6480
Na3 Na 0.4679 0.7852 0.8262
Na4 Na 0.0247 0.1020 0.7408
Na5 Na 0.5339 0.6064 0.2262
Na6 Na 0.5321 0.2148 0.1738
Na7 Na 0.9753 0.8980 0.2592
Na8 Na 0.4661 0.3936 0.7738
Cr1 Cr 0.2981 0.3714 0.5286
Cr2 Cr 0.2058 0.1522 0.9885
Cr3 Cr 0.7942 0.8478 0.0115
Cr4 Cr 0.7019 0.6286 0.4714
Cr5 Cr 0.1679 0.5911 0.0808
Cr6 Cr 0.3246 0.9091 0.4419
Cr7 Cr 0.6754 0.0909 0.5581
Cr8 Cr 0.8321 0.4089 0.9192
```

Results
ΔE to the lowest computed polymorph = 0 meV per atom
E_form = -20.4 eV per formula unit
raw total energy = -68.194 eV per formula unit